Density functional theory data (PBE+U) for an optimized crystal structure of Li4CrTe2WO12.

The structure in extended XYZ format:
```
40
Lattice="7.241 -1.211 1.720 2.550 -8.533 -1.194 1.709 4.490 -5.821" Properties=species:S:1:pos:R:3 pbc="T T T"
Li 2.831 1.488 -5.643
Li 5.616 -1.365 -1.898
Li 4.576 -6.115 -1.409
Li 9.092 -4.530 -3.390
Li 8.482 -6.814 -0.189
Li 5.686 -3.952 -3.920
Li 6.373 0.955 -4.944
Li 1.867 -0.643 -2.937
Cr 3.458 -3.426 -1.644
Cr 7.999 -1.777 -3.732
Te 4.379 -1.212 -4.556
Te 7.157 -4.075 -0.784
Te 8.053 1.066 -1.265
Te 3.595 -0.594 0.840
W 4.465 1.611 -2.073
W 7.241 -1.238 1.695
O 6.219 -0.854 -4.083
O 1.742 -2.457 -2.015
O 4.895 -2.449 -6.030
O 7.727 -5.358 -2.190
O 0.951 0.545 -1.504
O 5.407 2.331 -3.635
O 4.430 0.354 -5.672
O 7.190 -2.548 -1.959
O 5.488 -5.880 -3.592
O 8.123 -8.798 0.045
O 3.002 -5.106 -2.478
O 7.481 -3.574 -4.632
O 8.643 -0.272 -2.676
O 4.159 -1.806 -0.497
O 6.021 0.626 -1.506
O 3.367 3.510 -5.179
O 7.231 -5.522 0.493
O 4.450 -2.622 -3.227
O 10.616 -5.810 -3.651
O 6.110 -7.562 -1.556
O 6.648 -2.852 0.832
O 3.829 0.062 -3.020
O 5.270 -4.319 -1.029
O 9.748 -2.731 -3.135
```

VASP energy: -0.44128 Ry per atom
energy above the most stable polymorph in this dataset: 22 meV per atom
calculated density: 5.5 g/cm³
energy relative to the elements: -1.943 eV/atom


Density functional theory data (PBE+U) for an optimized crystal structure of Rb2Cr2As2O9.

The structure in extended XYZ format:
```
60
Lattice="5.797 0.000 0.000 0.000 8.728 0.000 0.000 0.000 18.772" Properties=species:S:1:pos:R:3 pbc="T T T"
Rb 4.348 4.024 14.419
Rb 1.449 4.704 4.352
Rb 1.449 0.340 5.033
Rb 4.348 3.439 6.788
Rb 1.449 0.925 16.173
Rb 4.348 7.802 2.598
Rb 1.449 5.289 11.984
Rb 4.348 8.387 13.738
Cr 0.000 4.364 0.000
Cr 4.348 6.785 17.667
Cr 1.449 1.942 1.104
Cr 1.449 6.306 8.282
Cr 2.898 4.364 0.000
Cr 4.348 2.422 10.490
Cr 0.000 0.000 9.386
Cr 2.898 0.000 9.386
As 4.348 1.535 17.766
As 1.449 2.829 8.380
As 1.449 5.939 16.142
As 1.449 7.193 1.005
As 4.348 2.788 2.629
As 4.348 5.898 10.391
As 4.348 7.152 6.757
As 1.449 1.575 12.015
O 2.943 1.772 2.470
O 1.449 8.266 8.147
O 1.449 4.674 17.393
O 4.348 4.826 17.533
O 1.449 0.310 10.764
O 1.449 0.760 13.482
O 4.348 4.313 9.799
O 1.449 5.123 14.675
O 1.449 3.902 1.239
O 1.449 2.714 6.698
O 2.854 2.591 11.856
O 0.018 2.005 9.012
O 1.449 0.051 0.414
O 5.752 1.772 2.470
O 1.449 7.078 2.688
O 4.348 8.417 8.008
O 0.045 6.955 16.301
O 0.018 6.369 0.374
O 5.778 6.722 9.759
O 4.348 6.014 12.073
O 4.348 8.677 18.358
O 2.854 6.955 16.301
O 0.045 2.591 11.856
O 5.752 6.136 6.915
O 2.917 6.722 9.759
O 4.348 0.462 10.625
O 1.449 4.414 8.972
O 5.778 2.359 18.398
O 4.348 3.604 4.097
O 2.880 2.005 9.012
O 2.880 6.369 0.374
O 2.943 6.136 6.915
O 4.348 7.968 5.289
O 2.917 2.359 18.398
O 4.348 4.054 1.378
O 4.348 1.650 16.084
```

VASP energy: -0.47258 Ry per atom
calculated density: 4.0 g/cm³
energy relative to the elements: -2.101 eV/atom


Density functional theory data (PBE+U) for an optimized crystal structure of LiVPO5.

The structure in extended XYZ format:
```
32
Lattice="9.133 0.000 0.000 0.000 6.670 0.000 0.000 0.142 7.762" Properties=species:S:1:pos:R:3 pbc="T T T"
Li 2.325 3.170 6.151
Li 2.241 3.099 2.270
Li 6.892 3.713 5.492
Li 6.808 3.642 1.611
V 4.305 5.992 6.393
V 0.262 5.921 2.512
V 8.872 0.890 5.250
V 4.828 0.819 1.369
P 7.270 5.847 7.699
P 6.429 5.776 3.818
P 2.704 1.035 3.944
P 1.863 0.964 0.063
O 3.374 6.651 4.820
O 1.193 6.580 0.938
O 7.982 6.235 3.994
O 5.718 6.164 0.113
O 5.881 5.827 5.267
O 7.819 5.757 1.386
O 3.646 4.513 6.686
O 0.920 4.442 2.805
O 7.299 4.395 7.256
O 6.401 4.325 3.375
O 2.732 2.487 4.387
O 1.834 2.416 0.506
O 8.213 2.369 4.957
O 5.487 2.299 1.076
O 1.314 1.055 6.377
O 3.253 0.984 2.495
O 3.415 0.647 7.649
O 1.151 0.576 3.768
O 7.940 0.231 6.824
O 5.759 0.160 2.943
```

VASP energy: -0.52018 Ry per atom
energy above the most stable polymorph in this dataset: 90 meV per atom
calculated density: 2.4 g/cm³
energy relative to the elements: -2.576 eV/atom


Density functional theory data (PBE+U) for an optimized crystal structure of Na2CaMn3Si6O18.

The structure in extended XYZ format:
```
30
Lattice="-6.625 0.000 0.000 -0.091 -7.204 0.000 0.532 1.422 7.436" Properties=species:S:1:pos:R:3 pbc="T T T"
Na -0.385 -0.381 6.843
Na -5.773 -5.320 0.600
Ca -4.111 -0.168 2.606
Mn -2.088 -2.121 4.846
Mn -4.020 -3.666 2.611
Mn -2.067 -5.725 4.808
Si -0.920 -0.253 2.134
Si -5.308 -5.480 5.394
Si -0.819 -3.440 2.146
Si -5.336 -2.391 5.243
Si -2.384 -5.389 0.328
Si -3.788 -0.401 7.075
O -0.866 -1.858 1.740
O -5.426 -3.916 5.807
O -2.514 -0.373 6.058
O -3.675 -5.121 1.314
O -1.799 -6.871 0.762
O -4.705 0.976 6.799
O -1.248 -4.221 0.713
O -4.800 -1.629 6.612
O -6.129 0.415 2.232
O -0.184 -6.017 5.094
O -2.156 -4.021 6.147
O -3.981 -1.996 1.205
O -5.961 -3.905 2.573
O -0.118 -1.794 4.824
O -4.061 -5.621 4.311
O -1.948 -0.025 3.402
O -4.140 -2.275 4.080
O -2.042 -3.746 3.233
```

VASP energy: -0.54400 Ry per atom
calculated density: 3.3 g/cm³
energy relative to the elements: -2.855 eV/atom


Density functional theory data (PBE+U) for an optimized crystal structure of V9O17.

The structure in extended XYZ format:
```
52
Lattice="-1.151 -4.045 3.601 4.101 -5.603 -1.571 11.526 4.146 8.254" Properties=species:S:1:pos:R:3 pbc="T T T"
V 11.815 -3.410 5.790
V 2.709 -2.036 4.535
V 9.324 -0.187 9.427
V 5.216 -5.374 0.801
V 9.731 -0.642 6.543
V 4.802 -4.858 3.780
V 6.850 -2.284 8.047
V 7.596 -3.221 2.242
V 3.236 -2.584 1.561
V 11.312 -2.999 8.617
V 2.384 -6.956 2.104
V 12.119 1.426 8.075
V 8.834 -5.130 7.243
V 5.549 -0.392 3.060
V 0.378 -4.154 2.952
V 14.165 -1.348 7.316
V 9.274 -5.520 4.348
V 7.223 -2.753 5.179
O 1.722 -1.296 1.005
O 12.818 -4.213 9.238
O 7.819 -1.156 9.524
O 6.769 -4.225 0.762
O 4.598 0.897 4.151
O 9.808 -6.293 6.171
O 2.230 -3.730 0.030
O 12.253 -1.734 10.202
O 7.616 -6.669 4.384
O 6.880 1.196 5.829
O 8.021 -1.693 6.644
O 6.320 -3.808 3.695
O 3.828 -3.625 4.922
O 10.546 -1.861 5.445
O 10.205 -1.442 8.281
O 4.214 -4.039 2.009
O 8.408 -2.219 3.684
O 5.981 -3.266 6.639
O 3.325 -6.282 0.797
O 11.152 0.717 9.545
O 11.167 3.060 7.636
O 3.382 -8.616 2.633
O 8.951 0.676 7.739
O 5.613 -6.229 2.536
O 12.590 -2.354 7.305
O 1.831 -3.175 3.014
O 9.222 0.197 4.815
O 5.255 -5.733 5.448
O 6.083 -1.256 4.656
O 8.333 -4.218 5.569
O 3.868 -1.513 2.996
O 10.568 -3.996 7.369
O 11.426 0.492 6.631
O 3.107 -6.002 3.667
```

VASP energy: -0.57420 Ry per atom
energy above the most stable polymorph in this dataset: 0 meV per atom
calculated density: 4.4 g/cm³
energy relative to the elements: -2.470 eV/atom


Density functional theory data (PBE+U) for an optimized crystal structure of Li9Mn7O16.

The structure in extended XYZ format:
```
32
Lattice="-0.498 0.123 -2.835 0.392 -8.837 -0.451 -11.513 -0.789 1.989" Properties=species:S:1:pos:R:3 pbc="T T T"
Li -8.794 -0.576 0.056
Li -0.053 -4.357 -1.643
Li -2.825 -8.927 -1.354
Li -6.861 -7.285 0.891
Li -9.984 -2.864 1.631
Li -1.137 -6.762 -0.093
Li -5.810 -4.751 -0.649
Li -4.261 -2.340 0.647
Li -6.005 -0.333 -0.423
Mn -7.054 -2.550 1.129
Mn -4.067 -7.076 0.409
Mn -9.735 -7.313 1.394
Mn -1.386 -2.312 0.144
Mn -8.656 -4.867 -0.154
Mn -0.249 0.061 -1.418
Mn -2.964 -4.636 -1.144
O -8.614 -2.669 -0.066
O -11.308 -7.268 0.209
O -2.965 -2.313 -1.043
O -7.174 -0.731 1.229
O -9.718 -5.024 1.490
O -0.918 -8.874 -0.222
O -5.604 -6.936 -0.779
O -4.028 -4.908 0.496
O -8.655 -7.190 -0.254
O -0.311 -2.235 -1.506
O -3.006 -6.834 -1.231
O -7.093 -4.718 1.042
O -10.203 -0.752 1.760
O -1.403 -4.601 0.048
O -6.015 -2.567 -0.518
O -3.947 -8.895 0.309
```

VASP energy: -0.47302 Ry per atom
energy above the most stable polymorph in this dataset: 15 meV per atom
calculated density: 3.9 g/cm³
energy relative to the elements: -2.129 eV/atom


Density functional theory data (PBE+U) for an optimized crystal structure of CrO2.

The structure in extended XYZ format:
```
12
Lattice="1.461 -4.755 0.000 1.461 4.755 0.000 0.000 0.000 9.767" Properties=species:S:1:pos:R:3 pbc="T T T"
Cr 1.461 3.484 0.716
Cr 1.461 -3.484 9.051
Cr 1.461 3.484 4.168
Cr 1.461 -3.484 5.599
O 1.461 -2.486 3.893
O 1.461 2.486 5.874
O 1.461 2.486 8.776
O 1.461 -2.486 0.991
O 1.461 4.038 2.442
O 1.461 -4.038 7.325
O 1.461 0.000 0.000
O 1.461 0.000 4.884
```

VASP energy: -0.53305 Ry per atom
calculated density: 4.1 g/cm³
energy relative to the elements: -1.861 eV/atom


Density functional theory data (PBE+U) for an optimized crystal structure of CrO2.

The structure in extended XYZ format:
```
12
Lattice="-2.790 5.037 -0.028 -5.036 0.512 2.746 -0.641 3.421 5.064" Properties=species:S:1:pos:R:3 pbc="T T T"
Cr -0.687 3.435 5.049
Cr -2.070 2.229 1.961
Cr -4.971 3.896 2.332
Cr -5.292 5.607 4.864
O -3.134 3.269 2.797
O -5.651 3.701 4.241
O -3.487 5.155 5.588
O -4.609 5.801 2.955
O -5.974 5.413 6.773
O -4.932 7.512 5.486
O -7.096 6.058 4.139
O -7.449 7.944 6.931
```

VASP energy: -0.53464 Ry per atom
calculated density: 4.0 g/cm³
energy relative to the elements: -1.882 eV/atom


Density functional theory data (PBE+U) for an optimized crystal structure of Mg3Fe4O7.

The structure in extended XYZ format:
```
14
Lattice="6.623 -7.213 5.111 1.949 -7.805 7.569 -4.143 5.846 -8.407" Properties=species:S:1:pos:R:3 pbc="T T T"
Mg 1.365 -3.782 -0.269
Mg 4.282 -7.512 6.339
Mg -1.062 0.470 -3.859
Fe 7.949 -13.930 11.761
Fe 0.621 -1.090 0.919
Fe 6.690 -11.788 9.924
Fe 1.831 -3.275 2.737
O -1.066 -0.952 -0.407
O 4.239 -6.055 2.837
O 3.071 -3.817 1.030
O 2.576 -7.415 5.015
O 1.852 -1.758 -0.742
O 0.102 -3.197 1.403
O 1.414 -5.305 3.266
```

VASP energy: -0.46919 Ry per atom
calculated density: 4.8 g/cm³
energy relative to the elements: -2.135 eV/atom


Density functional theory data (PBE+U) for an optimized crystal structure of V3OF11.

The structure in extended XYZ format:
```
30
Lattice="5.262 0.000 0.000 0.000 5.458 0.000 0.000 2.642 14.658" Properties=species:S:1:pos:R:3 pbc="T T T"
V 0.130 3.827 9.816
V 2.632 4.007 14.658
V 0.042 1.395 4.898
V 2.673 6.706 9.760
V 0.001 4.093 0.001
V 2.761 4.273 4.842
O 3.713 5.594 4.564
O 1.082 2.506 10.094
F 4.159 2.960 4.528
F 3.754 2.901 9.422
F 1.542 2.458 5.227
F 4.776 4.166 11.442
F 3.082 1.443 1.707
F 4.800 1.383 6.595
F 2.173 3.924 12.953
F 0.400 1.230 3.173
F 2.169 6.718 8.063
F 4.221 2.907 14.297
F 4.174 5.642 9.431
F 1.589 5.193 0.361
F 1.123 5.199 5.236
F 3.031 6.870 11.485
F 4.804 4.177 1.705
F 3.003 4.037 6.579
F 0.451 6.657 12.952
F 2.145 3.934 3.216
F 0.372 4.063 8.079
F 3.673 5.634 14.299
F 1.528 5.140 10.130
F 1.042 2.466 0.359
```

VASP energy: -0.42023 Ry per atom
energy above the most stable polymorph in this dataset: 6 meV per atom
calculated density: 3.0 g/cm³
energy relative to the elements: -2.891 eV/atom


Density functional theory data (PBE+U) for an optimized crystal structure of Li9Mn7O16.

The structure in extended XYZ format:
```
32
Lattice="0.287 -4.276 -4.293 4.988 -1.138 -3.259 4.949 -8.602 3.603" Properties=species:S:1:pos:R:3 pbc="T T T"
Li 5.154 -6.146 -4.780
Li 7.681 -10.560 -2.874
Li 2.735 -5.628 -3.139
Li 5.197 -9.917 -1.314
Li 5.027 -4.099 -2.635
Li 7.488 -8.388 -0.810
Li 2.543 -3.456 -1.075
Li 5.070 -7.869 0.832
Li 2.637 -2.707 -3.776
Mn 2.494 -0.569 -1.630
Mn 0.000 0.000 0.000
Mn 4.968 -4.870 0.172
Mn 2.475 -4.301 1.802
Mn 5.112 -7.008 -1.974
Mn 0.143 -2.138 -2.146
Mn 2.618 -6.439 -0.345
O 3.923 -4.427 -4.399
O 6.446 -8.804 -2.589
O 1.220 -3.696 -2.673
O 3.932 -8.196 -0.973
O 3.676 -2.056 -2.133
O 6.279 -6.630 -0.457
O 1.325 -1.776 -0.635
O 3.802 -6.084 1.180
O 6.422 -7.931 -5.128
O 8.898 -12.240 -3.313
O 3.945 -7.386 -3.492
O 6.547 -11.959 -1.816
O 6.292 -5.820 -2.976
O 9.003 -10.320 -1.276
O 3.778 -5.212 -1.359
O 6.301 -9.589 0.451
```

VASP energy: -0.47383 Ry per atom
energy above the most stable polymorph in this dataset: 4 meV per atom
calculated density: 3.9 g/cm³
energy relative to the elements: -2.140 eV/atom


Question: Look up the calculated density of the seventh one.
Answer: 4.1 g/cm³


Question: VASP energy of number 5 (V9O17)?
Answer: -0.57420 Ry per atom


Question: Which formula does entry 1 have?
Answer: Li4CrTe2WO12


Question: What is the calculated density in the fifth record?
Answer: 4.4 g/cm³